Entry 1:
# YCoO3

Crystalline YCoO3 at its relaxed geometry (PBE+U, the Materials Project database).

Cell lengths 6.1658, 6.1658, 11.4283 Å; angles 90.00, 90.00, 120.00 degrees
Sites, in units of the cell vectors:
Y  0.0000  0.0000  0.0000
Y  0.0000  0.0000  0.5000
Y  0.3333  0.6667  0.4543
Y  0.3333  0.6667  0.9543
Y  0.6667  0.3333  0.4543
Y  0.6667  0.3333  0.9543
Co  0.0000  0.3344  0.2234
Co  0.0000  0.6656  0.7234
Co  0.3344  0.0000  0.2234
Co  0.3344  0.3344  0.7234
Co  0.6656  0.0000  0.7234
Co  0.6656  0.6656  0.2234
O  0.0000  0.0000  0.2059
O  0.0000  0.0000  0.7059
O  0.0000  0.3076  0.3886
O  0.0000  0.3587  0.0636
O  0.0000  0.6413  0.5636
O  0.0000  0.6924  0.8886
O  0.3076  0.0000  0.3886
O  0.3076  0.3076  0.8886
O  0.3333  0.6667  0.2458
O  0.3333  0.6667  0.7458
O  0.3587  0.0000  0.0636
O  0.3587  0.3587  0.5636
O  0.6413  0.0000  0.5636
O  0.6413  0.6413  0.0636
O  0.6667  0.3333  0.2458
O  0.6667  0.3333  0.7458
O  0.6924  0.0000  0.8886
O  0.6924  0.6924  0.3886

Calculated values
* E_tot: -37.63 eV/f.u.
* theoretical density: 5.2 g/cm³
* calculated formation energy: -1246 kJ/mol of formula units
* size of the total moment: 2.00 μB/f.u.

=====

Entry 2:
# Ni2ClO3

Crystalline Ni2ClO3 at its relaxed geometry (PBE+U, the Materials Project database).

Cell lengths 5.7484, 6.3040, 8.3061 Å; angles 90.00, 90.00, 90.00 degrees
Sites, in units of the cell vectors:
Ni  0.0000  0.0000  0.0000
Ni  0.0000  0.5000  0.0000
Ni  0.2019  0.2500  0.2540
Ni  0.2981  0.7500  0.7540
Ni  0.5000  0.0000  0.5000
Ni  0.5000  0.5000  0.5000
Ni  0.7019  0.2500  0.2460
Ni  0.7981  0.7500  0.7460
Cl  0.1756  0.2500  0.5295
Cl  0.3244  0.7500  0.0295
Cl  0.6756  0.2500  0.9705
Cl  0.8244  0.7500  0.4705
O  0.0443  0.5532  0.7741
O  0.0443  0.9468  0.7741
O  0.1900  0.2500  0.0244
O  0.3100  0.7500  0.5244
O  0.4557  0.0532  0.2741
O  0.4557  0.4468  0.2741
O  0.5443  0.5532  0.7259
O  0.5443  0.9468  0.7259
O  0.6900  0.2500  0.4756
O  0.8100  0.7500  0.9756
O  0.9557  0.0532  0.2259
O  0.9557  0.4468  0.2259

Calculated values
* E_tot: -24.81 eV/f.u.
* theoretical density: 4.4 g/cm³
* calculated formation energy: -357 kJ/mol of formula units
* size of the total moment: 1.00 μB/f.u.